# 1
The following is a PBE+U calculation of a relaxed structure of Co3P4O16, from the Materials Project.

Summary:
**Space-group type**: P2_1/c (14)
**Polymorph energy (0 for the lowest one)**: 0 meV per atom
**Formation enthalpy at 0 K**: -1.93 eV/atom

Lattice parameters (Å, degrees): 5.0892 8.4266 15.5440 66.85 90.00 90.00
Atoms (fractional coordinates):
Co (0.4123, 0.1863, 0.3004)
Co (0.0877, 0.1863, 0.8004)
Co (0.9123, 0.8137, 0.1996)
Co (0.5877, 0.8137, 0.6996)
Co (0.5000, 0.5000, 0.0000)
Co (0.0000, 0.5000, 0.5000)
P (0.5102, 0.4743, 0.6463)
P (0.0488, 0.0801, 0.6165)
P (0.9898, 0.4743, 0.1463)
P (0.5488, 0.9199, 0.8835)
P (0.9512, 0.9199, 0.3835)
P (0.0102, 0.5257, 0.8537)
P (0.4898, 0.5257, 0.3537)
P (0.4512, 0.0801, 0.1165)
O (0.0368, 0.2522, 0.5303)
O (0.5242, 0.3580, 0.3359)
O (0.2036, 0.5475, 0.3779)
O (0.7036, 0.4525, 0.1221)
O (0.0242, 0.6420, 0.1641)
O (0.5902, 0.6821, 0.2691)
O (0.9758, 0.3580, 0.8359)
O (0.9913, 0.8906, 0.2925)
O (0.8322, 0.5077, 0.9381)
O (0.9632, 0.7478, 0.4697)
O (0.6678, 0.5077, 0.4381)
O (0.8031, 0.0176, 0.8836)
O (0.1792, 0.0342, 0.3935)
O (0.7964, 0.4525, 0.6221)
O (0.3031, 0.9824, 0.6164)
O (0.4632, 0.2522, 0.0303)
O (0.1678, 0.4923, 0.0619)
O (0.0902, 0.3179, 0.2309)
O (0.5368, 0.7478, 0.9697)
O (0.8208, 0.9658, 0.6065)
O (0.0087, 0.1094, 0.7075)
O (0.4758, 0.6420, 0.6641)
O (0.9098, 0.6821, 0.7691)
O (0.5087, 0.8906, 0.7925)
O (0.2964, 0.5475, 0.8779)
O (0.3322, 0.4923, 0.5619)
O (0.4913, 0.1094, 0.2075)
O (0.1969, 0.9824, 0.1164)
O (0.3208, 0.0342, 0.8935)
O (0.4098, 0.3179, 0.7309)
O (0.6969, 0.0176, 0.3836)
O (0.6792, 0.9658, 0.1065)

# 2
The following is a PBE+U calculation of a relaxed structure of Rb2V3O8, from the Materials Project.

Summary:
**Space-group type**: P4bm (100)
**Polymorph energy (0 for the lowest one)**: 12 meV per atom
**Formation enthalpy at 0 K**: -2.44 eV/atom

Lattice parameters (Å, degrees): 9.0773 9.0773 5.7025 90.00 90.00 90.00
Atoms (fractional coordinates):
Rb (0.1673, 0.6673, 0.0137)
Rb (0.6673, 0.8327, 0.0137)
Rb (0.3327, 0.1673, 0.0137)
Rb (0.8327, 0.3327, 0.0137)
V (0.3657, 0.8657, 0.5286)
V (0.8657, 0.6343, 0.5286)
V (0.1343, 0.3657, 0.5286)
V (0.6343, 0.1343, 0.5286)
V (0.5000, 0.5000, 0.7214)
V (0.0000, 0.0000, 0.7214)
O (0.5000, 0.5000, 0.0108)
O (0.0000, 0.0000, 0.0108)
O (0.8055, 0.0830, 0.6394)
O (0.1945, 0.9170, 0.6394)
O (0.9170, 0.8055, 0.6394)
O (0.0830, 0.1945, 0.6394)
O (0.4170, 0.6945, 0.6394)
O (0.6945, 0.5830, 0.6394)
O (0.3055, 0.4170, 0.6394)
O (0.5830, 0.3055, 0.6394)
O (0.5000, 0.0000, 0.6368)
O (0.0000, 0.5000, 0.6368)
O (0.6320, 0.1320, 0.2356)
O (0.3680, 0.8680, 0.2356)
O (0.8680, 0.6320, 0.2356)
O (0.1320, 0.3680, 0.2356)